#A
Density functional theory data (PBE with a Hubbard U) for a geometry-optimized BaNaCeWO6 structure.

Lattice parameters (Å, degrees): 8.526 8.526 8.526 90.00 90.00 90.00
Space group F-43m (No. 216)
Unique sites:
Ba1 0.000 0.000 0.000 x4
Na1 0.000 0.000 0.500 x4
Ce1 0.250 0.250 0.750 x4
W1 0.250 0.250 0.250 x4
O1 0.018 0.250 0.250 x24

Output
- volume (Å³/cell) = 619.9

---

#B
Density functional theory data (PBE with a Hubbard U) for a geometry-optimized BaNaCeWO6 structure.

Lattice parameters (Å, degrees): 8.434 8.457 8.496 90.00 90.00 90.00
Space group Pnnn (No. 48, origin choice 2)
Unique sites:
Ba1 0.250 0.250 0.250 x2
Ba2 0.250 0.250 0.750 x2
Na1 0.250 0.750 0.250 x2
Na2 0.250 0.750 0.750 x2
Ce1 0.000 0.000 0.000 x4
W1 0.000 0.000 0.500 x4
O1 0.030 0.240 0.487 x8
O2 0.036 0.521 0.239 x8
O3 0.228 0.520 0.961 x8

Output
- volume (Å³/cell) = 606.0

---

Energy comparison, zero being the most stable, in meV/atom: #A 44; #B 0.

---

#A
Density functional theory data (PBE with a Hubbard U) for a geometry-optimized BaEr2CoO5 structure.

Lattice parameters (Å, degrees): 12.289 5.722 7.080 90.00 90.00 90.00
Space group Pnma (No. 62)
Unique sites:
Ba1 0.101 0.250 0.079 x4
Er1 0.074 0.750 0.402 x4
Er2 0.209 0.250 0.620 x4
Co1 0.152 0.750 0.808 x4
O1 0.066 0.503 0.665 x8
O2 0.103 0.750 0.078 x4
O3 0.225 0.000 0.362 x8

Output
- volume (Å³/cell) = 497.9

---

#B
Density functional theory data (PBE with a Hubbard U) for a geometry-optimized BaEr2CoO5 structure.

Lattice parameters (Å, degrees): 3.768 5.792 11.484 90.00 90.00 90.00
Space group Immm (No. 71)
Unique sites:
Ba1 0.000 0.000 0.000 x2
Er1 0.000 0.500 0.204 x4
Co1 0.000 0.000 0.500 x2
O1 0.000 0.241 0.348 x8
O2 0.000 0.500 0.000 x2

Output
- volume (Å³/cell) = 250.6

---

Energy comparison, zero being the most stable, in meV/atom: #A 60; #B 0.

---

#A
Density functional theory data (PBE with a Hubbard U) for a geometry-optimized BaHoMgCo2O6 structure.

Lattice parameters (Å, degrees): 3.703 5.531 7.832 90.00 90.00 90.00
Space group Pmmm (No. 47)
Unique sites:
Ba1 0.000 0.000 0.000 x1
Ho1 0.000 0.000 0.500 x1
Mg1 0.000 0.500 0.500 x1
Co1 0.500 0.500 0.234 x2
O1 0.000 0.500 0.258 x2
O2 0.500 0.000 0.313 x2
O3 0.500 0.500 0.000 x1
O4 0.500 0.500 0.500 x1

Output
- volume (Å³/cell) = 160.4

---

#B
Density functional theory data (PBE with a Hubbard U) for a geometry-optimized BaHoMgCo2O6 structure.

Lattice parameters (Å, degrees): 3.718 3.929 11.013 90.00 90.00 90.00
Space group Pmm2 (No. 25)
Unique sites:
Ba1 0.000 0.000 0.000 x1
Ho1 0.000 0.000 0.675 x1
Mg1 0.000 0.000 0.298 x1
Co1 0.500 0.500 0.201 x1
Co2 0.500 0.500 0.804 x1
O1 0.000 0.500 0.282 x1
O2 0.000 0.500 0.801 x1
O3 0.500 0.000 0.227 x1
O4 0.500 0.000 0.795 x1
O5 0.500 0.500 0.022 x1
O6 0.500 0.500 0.620 x1

Output
- volume (Å³/cell) = 160.9

---

Energy comparison, zero being the most stable, in meV/atom: #A 330; #B 0.

---

#A
Density functional theory data (PBE with a Hubbard U) for a geometry-optimized BaLuCo4O7 structure.

Lattice parameters (Å, degrees): 10.996 6.310 10.284 90.00 90.00 90.00
Space group Pna2_1 (No. 33)
Unique sites:
Ba1 0.164 0.007 0.000 x4
Lu1 0.170 0.997 0.625 x4
Co1 0.001 0.500 0.058 x4
Co2 0.083 0.242 0.318 x4
Co3 0.089 0.755 0.313 x4
Co4 0.173 0.501 0.815 x4
O1 0.001 0.493 0.254 x4
O2 0.006 0.990 0.757 x4
O3 0.066 0.224 0.501 x4
O4 0.100 0.736 0.503 x4
O5 0.169 0.454 0.002 x4
O6 0.244 0.775 0.219 x4
O7 0.247 0.281 0.277 x4

Output
- volume (Å³/cell) = 713.5

---

#B
Density functional theory data (PBE with a Hubbard U) for a geometry-optimized BaLuCo4O7 structure.

Lattice parameters (Å, degrees): 6.3394 6.3394 10.3275 90.00 90.00 120.00
Space group P6_3mc (No. 186)
Unique sites:
Ba1 0.3333 0.6667 0.0000 x2
Lu1 0.3333 0.6667 0.3934 x2
Co1 0.0000 0.0000 0.4581 x2
Co2 0.1701 0.3403 0.7029 x6
O1 0.0000 0.0000 0.2583 x2
O2 0.0106 0.5053 0.7764 x6
O3 0.1696 0.3393 0.5168 x6

Output
- volume (Å³/cell) = 359.4

---

Energy comparison, zero being the most stable, in meV/atom: #A 0; #B 20.

---

#A
Density functional theory data (PBE with a Hubbard U) for a geometry-optimized Ba2MgCoMoO6 structure.

Lattice parameters (Å, degrees): 5.729 5.810 10.601 90.00 90.00 90.00
Space group Immm (No. 71)
Unique sites:
Ba1 0.000 0.000 0.182 x4
Mg1 0.000 0.000 0.500 x2
Co1 0.000 0.500 0.000 x2
Mo1 0.000 0.500 0.500 x2
O1 0.000 0.500 0.311 x4
O2 0.247 0.265 0.000 x8

Output
- volume (Å³/cell) = 352.9

---

#B
Density functional theory data (PBE with a Hubbard U) for a geometry-optimized Ba2MgCoMoO6 structure.

Lattice parameters (Å, degrees): 5.890 5.978 6.311 63.43 87.88 60.79
Space group P1 (No. 1)
Unique sites:
Ba1 0.000 0.000 0.000 x1
Ba2 0.424 0.126 0.358 x1
Mg1 0.776 0.445 0.390 x1
Co1 0.631 0.727 0.907 x1
Mo1 0.207 0.574 0.677 x1
O1 0.004 0.503 0.963 x1
O2 0.410 0.630 0.411 x1
O3 0.426 0.102 0.832 x1
O4 0.496 0.490 0.932 x1
O5 0.925 0.648 0.435 x1
O6 0.999 0.031 0.544 x1

Output
- volume (Å³/cell) = 168.7

---

Energy comparison, zero being the most stable, in meV/atom: #A 88; #B 0.

---

#A
Density functional theory data (PBE with a Hubbard U) for a geometry-optimized BaNdMgCo2O5 structure.

Lattice parameters (Å, degrees): 3.596 4.102 10.481 90.00 90.00 90.00
Space group Pmm2 (No. 25)
Unique sites:
Ba1 0.000 0.000 0.000 x1
Nd1 0.000 0.000 0.366 x1
Mg1 0.000 0.000 0.654 x1
Co1 0.500 0.500 0.185 x1
Co2 0.500 0.500 0.791 x1
O1 0.000 0.500 0.268 x1
O2 0.000 0.500 0.715 x1
O3 0.500 0.000 0.207 x1
O4 0.500 0.000 0.523 x1
O5 0.500 0.500 0.979 x1

Output
- volume (Å³/cell) = 154.6

---

#B
Density functional theory data (PBE with a Hubbard U) for a geometry-optimized BaNdMgCo2O5 structure.

Lattice parameters (Å, degrees): 3.679 4.558 8.520 90.00 90.00 90.00
Space group Pmmm (No. 47)
Unique sites:
Ba1 0.000 0.000 0.000 x1
Nd1 0.000 0.000 0.500 x1
Mg1 0.500 0.500 0.500 x1
Co1 0.500 0.500 0.220 x2
O1 0.000 0.500 0.353 x2
O2 0.500 0.000 0.319 x2
O3 0.500 0.500 0.000 x1

Output
- volume (Å³/cell) = 142.9

---

#C
Density functional theory data (PBE with a Hubbard U) for a geometry-optimized BaNdMgCo2O5 structure.

Lattice parameters (Å, degrees): 3.830 4.186 9.687 90.00 90.00 90.00
Space group Pmm2 (No. 25)
Unique sites:
Ba1 0.000 0.000 0.000 x1
Nd1 0.000 0.000 0.634 x1
Mg1 0.000 0.500 0.280 x1
Co1 0.500 0.500 0.502 x1
Co2 0.500 0.500 0.791 x1
O1 0.000 0.500 0.480 x1
O2 0.000 0.500 0.815 x1
O3 0.500 0.000 0.498 x1
O4 0.500 0.000 0.820 x1
O5 0.500 0.500 0.188 x1

Output
- volume (Å³/cell) = 155.3

---

Energy comparison, zero being the most stable, in meV/atom: #A 0; #B 296; #C 61.

---

#A
Density functional theory data (PBE with a Hubbard U) for a geometry-optimized Ba4MgCo4O10 structure.

Lattice parameters (Å, degrees): 6.227 6.264 9.171 104.01 104.99 104.66
Space group P1 (No. 1)
Unique sites:
Ba1 0.000 0.000 0.000 x1
Ba2 0.129 0.292 0.424 x1
Ba3 0.500 0.491 0.978 x1
Ba4 0.750 0.662 0.417 x1
Mg1 0.459 0.014 0.474 x1
Co1 0.102 0.589 0.164 x1
Co2 0.289 0.965 0.726 x1
Co3 0.576 0.072 0.170 x1
Co4 0.846 0.299 0.728 x1
O1 0.260 0.761 0.533 x1
O2 0.306 0.932 0.245 x1
O3 0.317 0.416 0.200 x1
O4 0.408 0.979 0.929 x1
O5 0.490 0.230 0.689 x1
O6 0.760 0.274 0.512 x1
O7 0.779 0.888 0.205 x1
O8 0.822 0.381 0.197 x1
O9 0.963 0.520 0.922 x1
O10 0.995 0.056 0.716 x1

Output
- volume (Å³/cell) = 315.7

---

#B
Density functional theory data (PBE with a Hubbard U) for a geometry-optimized Ba4MgCo4O10 structure.

Lattice parameters (Å, degrees): 5.498 5.751 10.134 106.44 105.62 90.12
Space group P1 (No. 1)
Unique sites:
Ba1 0.000 0.000 0.000 x1
Ba2 0.202 0.199 0.421 x1
Ba3 0.504 0.502 0.026 x1
Ba4 0.723 0.723 0.447 x1
Mg1 0.553 0.151 0.722 x1
Co1 0.106 0.605 0.224 x1
Co2 0.424 0.725 0.724 x1
Co3 0.606 0.105 0.223 x1
Co4 0.935 0.433 0.723 x1
O1 0.293 0.411 0.723 x1
O2 0.306 0.823 0.563 x1
O3 0.354 0.364 0.228 x1
O4 0.360 0.860 0.221 x1
O5 0.465 0.980 0.887 x1
O6 0.711 0.207 0.564 x1
O7 0.786 0.735 0.724 x1
O8 0.852 0.351 0.225 x1
O9 0.861 0.848 0.219 x1
O10 0.868 0.363 0.881 x1

Output
- volume (Å³/cell) = 294.9

---

Energy comparison, zero being the most stable, in meV/atom: #A 50; #B 0.